Below is an optimized crystal structure of Ac2MgTl, with properties calculated at the r2SCAN level.

Cell and atoms, written as CIF:
```
data_Ac2MgTl
_symmetry_space_group_name_H-M 'F m -3 m'
_symmetry_Int_Tables_number 225
_symmetry_space_group_name_Hall '-F 4 2 3'
_cell_length_a 8.2467
_cell_length_b 8.2467
_cell_length_c 8.2467
_cell_angle_alpha 90.00
_cell_angle_beta 90.00
_cell_angle_gamma 90.00
loop_
_atom_site_label
_atom_site_fract_x
_atom_site_fract_y
_atom_site_fract_z
Ac1 0.2500 0.2500 0.2500
Mg1 0.0000 0.0000 0.0000
Tl1 0.0000 0.0000 0.5000
```

Output
DFT formation energy = -0.27 eV/atom
M_tot = 0.0 μB/f.u.